[1]
# Rb2CdP2Se6 GGA-PBE relaxed
data_Rb2CdP2Se6
_symmetry_space_group_name_H-M 'P 1'
_symmetry_Int_Tables_number 1
_cell_length_a 6.763
_cell_length_b 12.945
_cell_length_c 9.725
_cell_angle_alpha 90.00
_cell_angle_beta 125.42
_cell_angle_gamma 90.00
loop_
_symmetry_equiv_pos_as_xyz
'x,y,z'
loop_
_atom_site_label
_atom_site_fract_x
_atom_site_fract_y
_atom_site_fract_z
Rb1 0.222 0.179 0.479
Rb2 0.222 0.321 0.979
Rb3 0.778 0.679 0.021
Rb4 0.778 0.821 0.521
Cd1 0.500 0.000 0.000
Cd2 0.500 0.500 0.500
P1 0.148 0.541 0.623
P2 0.148 0.959 0.123
P3 0.852 0.041 0.877
P4 0.852 0.459 0.377
Se1 0.030 0.074 0.750
Se2 0.030 0.426 0.250
Se3 0.257 0.678 0.548
Se4 0.257 0.822 0.048
Se5 0.453 0.069 0.262
Se6 0.453 0.431 0.762
Se7 0.547 0.569 0.238
Se8 0.547 0.931 0.738
Se9 0.743 0.178 0.952
Se10 0.743 0.322 0.452
Se11 0.970 0.574 0.750
Se12 0.970 0.926 0.250
# Spin magnetization, μB/f.u.: 0.000
# Volume, Å³/f.u.: 346.9
# Symmetry: P2_1/c (14)
# E, eV for the cell shown: -82.59



[2]
# Zr2V3Ru GGA-PBE relaxed
data_Zr2V3Ru
_symmetry_space_group_name_H-M 'P 1'
_symmetry_Int_Tables_number 1
_cell_length_a 5.303
_cell_length_b 5.303
_cell_length_c 8.238
_cell_angle_alpha 90.00
_cell_angle_beta 90.00
_cell_angle_gamma 120.00
loop_
_symmetry_equiv_pos_as_xyz
'x,y,z'
loop_
_atom_site_label
_atom_site_fract_x
_atom_site_fract_y
_atom_site_fract_z
Zr1 0.333 0.667 0.060
Zr2 0.333 0.667 0.440
Zr3 0.667 0.333 0.560
Zr4 0.667 0.333 0.940
V1 0.169 0.339 0.750
V2 0.169 0.831 0.750
V3 0.339 0.169 0.250
V4 0.661 0.831 0.750
V5 0.831 0.169 0.250
V6 0.831 0.661 0.250
Ru1 0.000 0.000 0.000
Ru2 0.000 0.000 0.500
# Volume, Å³/f.u.: 100.3
# Symmetry: P6_3/mmc (194)
# E, eV for the cell shown: -110.34



[3]
# Fe3Ni2 GGA-PBE relaxed
data_Fe3Ni2
_symmetry_space_group_name_H-M 'P 1'
_symmetry_Int_Tables_number 1
_cell_length_a 2.502
_cell_length_b 2.502
_cell_length_c 18.177
_cell_angle_alpha 90.00
_cell_angle_beta 90.00
_cell_angle_gamma 90.00
loop_
_symmetry_equiv_pos_as_xyz
'x,y,z'
loop_
_atom_site_label
_atom_site_fract_x
_atom_site_fract_y
_atom_site_fract_z
Fe1 0.000 0.000 0.000
Fe2 0.000 0.000 0.199
Fe3 0.000 0.000 0.396
Fe4 0.000 0.000 0.604
Fe5 0.000 0.000 0.801
Fe6 0.500 0.500 0.500
Ni1 0.500 0.500 0.100
Ni2 0.500 0.500 0.297
Ni3 0.500 0.500 0.703
Ni4 0.500 0.500 0.900
# Spin magnetization, μB/f.u.: 8.850
# Volume, Å³/f.u.: 56.9
# Symmetry: P4/mmm (123)
# E, eV for the cell shown: -74.26



[4]
# PbSe GGA-PBE relaxed
data_PbSe
_symmetry_space_group_name_H-M 'P 1'
_symmetry_Int_Tables_number 1
_cell_length_a 4.400
_cell_length_b 4.400
_cell_length_c 4.400
_cell_angle_alpha 60.00
_cell_angle_beta 60.00
_cell_angle_gamma 60.00
loop_
_symmetry_equiv_pos_as_xyz
'x,y,z'
loop_
_atom_site_label
_atom_site_fract_x
_atom_site_fract_y
_atom_site_fract_z
Pb1 0.000 0.000 0.000
Se1 0.500 0.500 0.500
# Volume, Å³/f.u.: 60.3
# Symmetry: Fm-3m (225)
# E, eV for the cell shown: -8.33



[5]
# RbMg6V GGA-PBE relaxed
data_RbMg6V
_symmetry_space_group_name_H-M 'P 1'
_symmetry_Int_Tables_number 1
_cell_length_a 5.333
_cell_length_b 6.703
_cell_length_c 11.750
_cell_angle_alpha 90.00
_cell_angle_beta 90.00
_cell_angle_gamma 90.00
loop_
_symmetry_equiv_pos_as_xyz
'x,y,z'
loop_
_atom_site_label
_atom_site_fract_x
_atom_site_fract_y
_atom_site_fract_z
Mg1 0.000 0.727 0.577
Mg2 0.500 0.500 0.671
Mg3 0.500 0.000 0.171
Mg4 0.000 0.500 0.834
Mg5 0.000 0.773 0.077
Mg6 0.500 0.735 0.411
Mg7 0.500 0.265 0.411
Mg8 0.000 0.273 0.577
Mg9 0.500 0.235 0.911
Mg10 0.000 0.000 0.334
Mg11 0.500 0.765 0.911
Mg12 0.000 0.227 0.077
V1 0.000 0.500 0.357
V2 0.000 0.000 0.857
Rb1 0.500 0.500 0.162
Rb2 0.500 0.000 0.662
# Spin magnetization, μB/f.u.: 3.416
# Volume, Å³/f.u.: 210.0
# E, eV for the cell shown: -32.12



[6]
# ZrZn GGA-PBE relaxed
data_ZrZn
_symmetry_space_group_name_H-M 'P 1'
_symmetry_Int_Tables_number 1
_cell_length_a 3.895
_cell_length_b 3.895
_cell_length_c 3.895
_cell_angle_alpha 60.00
_cell_angle_beta 60.00
_cell_angle_gamma 60.00
loop_
_symmetry_equiv_pos_as_xyz
'x,y,z'
loop_
_atom_site_label
_atom_site_fract_x
_atom_site_fract_y
_atom_site_fract_z
Zr1 0.000 0.000 0.000
Zn1 0.500 0.500 0.500
# Spin magnetization, μB/f.u.: 0.003
# Volume, Å³/f.u.: 41.8
# Symmetry: Fm-3m (225)
# E, eV for the cell shown: -9.52



[7]
# Ti16Hg4C5 GGA-PBE relaxed
data_Ti16Hg4C5
_symmetry_space_group_name_H-M 'P 1'
_symmetry_Int_Tables_number 1
_cell_length_a 3.767
_cell_length_b 3.767
_cell_length_c 33.409
_cell_angle_alpha 90.00
_cell_angle_beta 90.00
_cell_angle_gamma 90.00
loop_
_symmetry_equiv_pos_as_xyz
'x,y,z'
loop_
_atom_site_label
_atom_site_fract_x
_atom_site_fract_y
_atom_site_fract_z
Ti1 0.000 0.000 0.000
Ti2 0.000 0.000 0.073
Ti3 0.000 0.000 0.245
Ti4 0.000 0.000 0.500
Ti5 0.000 0.000 0.755
Ti6 0.000 0.000 0.927
Ti7 0.000 0.500 0.000
Ti8 0.000 0.500 0.302
Ti9 0.000 0.500 0.447
Ti10 0.000 0.500 0.553
Ti11 0.000 0.500 0.698
Ti12 0.500 0.000 0.000
Ti13 0.500 0.000 0.302
Ti14 0.500 0.000 0.447
Ti15 0.500 0.000 0.553
Ti16 0.500 0.000 0.698
Hg1 0.000 0.000 0.158
Hg2 0.000 0.000 0.375
Hg3 0.000 0.000 0.625
Hg4 0.000 0.000 0.842
C1 0.500 0.500 0.049
C2 0.500 0.500 0.268
C3 0.500 0.500 0.500
C4 0.500 0.500 0.732
C5 0.500 0.500 0.951
# Spin magnetization, μB/f.u.: 1.538
# Volume, Å³/f.u.: 474.2
# Symmetry: P4/mmm (123)
# E, eV for the cell shown: -153.06



[8]
# HoNiPb GGA-PBE relaxed
data_HoNiPb
_symmetry_space_group_name_H-M 'P 1'
_symmetry_Int_Tables_number 1
_cell_length_a 7.159
_cell_length_b 4.531
_cell_length_c 7.887
_cell_angle_alpha 90.00
_cell_angle_beta 90.00
_cell_angle_gamma 90.00
loop_
_symmetry_equiv_pos_as_xyz
'x,y,z'
loop_
_atom_site_label
_atom_site_fract_x
_atom_site_fract_y
_atom_site_fract_z
Ho1 0.012 0.250 0.208
Ho2 0.488 0.750 0.708
Ho3 0.512 0.250 0.292
Ho4 0.988 0.750 0.792
Ni1 0.209 0.750 0.410
Ni2 0.291 0.250 0.910
Ni3 0.709 0.750 0.090
Ni4 0.791 0.250 0.590
Pb1 0.195 0.250 0.582
Pb2 0.305 0.750 0.082
Pb3 0.695 0.250 0.918
Pb4 0.805 0.750 0.418
# Spin magnetization, μB/f.u.: 0.002
# Volume, Å³/f.u.: 64.0
# Symmetry: Pnma (62)
# E, eV for the cell shown: -61.21



[9]
# CaSbF5 GGA-PBE relaxed
data_CaSbF5
_symmetry_space_group_name_H-M 'P 1'
_symmetry_Int_Tables_number 1
_cell_length_a 5.857
_cell_length_b 5.908
_cell_length_c 8.549
_cell_angle_alpha 69.97
_cell_angle_beta 70.15
_cell_angle_gamma 73.48
loop_
_symmetry_equiv_pos_as_xyz
'x,y,z'
loop_
_atom_site_label
_atom_site_fract_x
_atom_site_fract_y
_atom_site_fract_z
Ca1 0.000 0.000 0.000
Ca2 0.009 0.991 0.503
Sb1 0.459 0.540 0.731
Sb2 0.553 0.455 0.228
F1 0.136 0.882 0.750
F2 0.207 0.299 0.823
F3 0.270 0.690 0.128
F4 0.306 0.209 0.333
F5 0.342 0.646 0.514
F6 0.654 0.329 0.015
F7 0.704 0.267 0.627
F8 0.740 0.745 0.570
F9 0.746 0.744 0.062
F10 0.894 0.126 0.250
# Spin magnetization, μB/f.u.: 0.000
# Volume, Å³/f.u.: 128.3
# Symmetry: P1 (1)
# E, eV for the cell shown: -73.21



[10]
# HfMg6TiO8 GGA-PBE relaxed
data_HfMg6TiO8
_symmetry_space_group_name_H-M 'P 1'
_symmetry_Int_Tables_number 1
_cell_length_a 4.367
_cell_length_b 4.367
_cell_length_c 8.758
_cell_angle_alpha 90.00
_cell_angle_beta 90.00
_cell_angle_gamma 90.00
loop_
_symmetry_equiv_pos_as_xyz
'x,y,z'
loop_
_atom_site_label
_atom_site_fract_x
_atom_site_fract_y
_atom_site_fract_z
Hf1 0.000 0.000 0.000
Mg1 0.000 0.500 0.259
Mg2 0.000 0.500 0.741
Mg3 0.500 0.000 0.259
Mg4 0.500 0.000 0.741
Mg5 0.500 0.500 0.000
Mg6 0.500 0.500 0.500
Ti1 0.000 0.000 0.500
O1 0.000 0.000 0.249
O2 0.000 0.000 0.751
O3 0.000 0.500 0.000
O4 0.000 0.500 0.500
O5 0.500 0.000 0.000
O6 0.500 0.000 0.500
O7 0.500 0.500 0.252
O8 0.500 0.500 0.748
# Spin magnetization, μB/f.u.: 1.549
# Volume, Å³/f.u.: 167.1
# Symmetry: P4/mmm (123)
# E, eV for the cell shown: -105.22



[11]
# Sc2Ni21B6 GGA-PBE relaxed
data_Sc2Ni21B6
_symmetry_space_group_name_H-M 'P 1'
_symmetry_Int_Tables_number 1
_cell_length_a 7.475
_cell_length_b 7.475
_cell_length_c 7.475
_cell_angle_alpha 60.00
_cell_angle_beta 60.00
_cell_angle_gamma 60.00
loop_
_symmetry_equiv_pos_as_xyz
'x,y,z'
loop_
_atom_site_label
_atom_site_fract_x
_atom_site_fract_y
_atom_site_fract_z
Sc1 0.250 0.250 0.250
Sc2 0.750 0.750 0.750
Ni1 0.000 0.000 0.000
Ni2 0.000 0.000 0.337
Ni3 0.000 0.000 0.663
Ni4 0.000 0.337 0.000
Ni5 0.000 0.337 0.663
Ni6 0.000 0.663 0.000
Ni7 0.000 0.663 0.337
Ni8 0.158 0.614 0.614
Ni9 0.337 0.000 0.000
Ni10 0.337 0.000 0.663
Ni11 0.337 0.663 0.000
Ni12 0.386 0.386 0.386
Ni13 0.386 0.386 0.842
Ni14 0.386 0.842 0.386
Ni15 0.614 0.158 0.614
Ni16 0.614 0.614 0.158
Ni17 0.614 0.614 0.614
Ni18 0.663 0.000 0.000
Ni19 0.663 0.000 0.337
Ni20 0.663 0.337 0.000
Ni21 0.842 0.386 0.386
B1 0.270 0.270 0.730
B2 0.270 0.730 0.270
B3 0.270 0.730 0.730
B4 0.730 0.270 0.270
B5 0.730 0.270 0.730
B6 0.730 0.730 0.270
# Volume, Å³/f.u.: 295.4
# Symmetry: Fm-3m (225)
# E, eV for the cell shown: -185.16



[12]
# TbSm GGA-PBE relaxed
data_TbSm
_symmetry_space_group_name_H-M 'P 1'
_symmetry_Int_Tables_number 1
_cell_length_a 3.641
_cell_length_b 3.641
_cell_length_c 5.858
_cell_angle_alpha 90.00
_cell_angle_beta 90.00
_cell_angle_gamma 120.00
loop_
_symmetry_equiv_pos_as_xyz
'x,y,z'
loop_
_atom_site_label
_atom_site_fract_x
_atom_site_fract_y
_atom_site_fract_z
Tb1 0.000 0.000 0.000
Sm1 0.333 0.667 0.500
# Volume, Å³/f.u.: 67.3
# Symmetry: P-6m2 (187)
# E, eV for the cell shown: -9.31



[13]
# MgScVS4 GGA-PBE relaxed
data_MgScVS4
_symmetry_space_group_name_H-M 'P 1'
_symmetry_Int_Tables_number 1
_cell_length_a 7.399
_cell_length_b 7.399
_cell_length_c 7.399
_cell_angle_alpha 120.23
_cell_angle_beta 119.63
_cell_angle_gamma 90.12
loop_
_symmetry_equiv_pos_as_xyz
'x,y,z'
loop_
_atom_site_label
_atom_site_fract_x
_atom_site_fract_y
_atom_site_fract_z
Mg1 0.376 0.126 0.250
Mg2 0.624 0.874 0.750
Sc1 0.000 0.500 0.500
Sc2 0.500 0.500 0.000
V1 0.000 0.000 0.500
V2 0.000 0.500 0.000
S1 0.219 0.747 0.472
S2 0.225 0.253 0.972
S3 0.235 0.246 0.511
S4 0.235 0.724 0.989
S5 0.765 0.276 0.011
S6 0.765 0.754 0.489
S7 0.775 0.747 0.028
S8 0.781 0.253 0.528
# Spin magnetization, μB/f.u.: 2.000
# Volume, Å³/f.u.: 143.4
# Symmetry: Imma (74)
# E, eV for the cell shown: -86.24



[14]
# KScAs2H2O8 GGA-PBE relaxed
data_KScAs2H2O8
_symmetry_space_group_name_H-M 'P 1'
_symmetry_Int_Tables_number 1
_cell_length_a 6.845
_cell_length_b 6.845
_cell_length_c 9.374
_cell_angle_alpha 102.52
_cell_angle_beta 102.52
_cell_angle_gamma 103.39
loop_
_symmetry_equiv_pos_as_xyz
'x,y,z'
loop_
_atom_site_label
_atom_site_fract_x
_atom_site_fract_y
_atom_site_fract_z
K1 0.000 0.500 0.000
K2 0.500 0.000 0.500
Sc1 0.138 0.862 0.750
Sc2 0.862 0.138 0.250
As1 0.127 0.324 0.643
As2 0.324 0.127 0.143
As3 0.676 0.873 0.857
As4 0.873 0.676 0.357
H1 0.309 0.350 0.466
H2 0.350 0.309 0.966
H3 0.650 0.691 0.034
H4 0.691 0.650 0.534
O1 0.083 0.810 0.511
O2 0.085 0.545 0.737
O3 0.180 0.188 0.772
O4 0.188 0.180 0.272
O5 0.190 0.917 0.989
O6 0.354 0.388 0.580
O7 0.388 0.354 0.080
O8 0.455 0.915 0.763
O9 0.545 0.085 0.237
O10 0.612 0.646 0.920
O11 0.646 0.612 0.420
O12 0.810 0.083 0.011
O13 0.812 0.820 0.728
O14 0.820 0.812 0.228
O15 0.915 0.455 0.263
O16 0.917 0.190 0.489
# Spin magnetization, μB/f.u.: 0.002
# Volume, Å³/f.u.: 200.2
# Symmetry: C2/c (15)
# E, eV for the cell shown: -175.45



[15]
# KSr2Br5 GGA-PBE relaxed
data_KSr2Br5
_symmetry_space_group_name_H-M 'P 1'
_symmetry_Int_Tables_number 1
_cell_length_a 9.424
_cell_length_b 8.494
_cell_length_c 13.589
_cell_angle_alpha 90.00
_cell_angle_beta 90.09
_cell_angle_gamma 90.00
loop_
_symmetry_equiv_pos_as_xyz
'x,y,z'
loop_
_atom_site_label
_atom_site_fract_x
_atom_site_fract_y
_atom_site_fract_z
K1 0.004 0.022 0.178
K2 0.004 0.478 0.678
K3 0.996 0.522 0.322
K4 0.996 0.978 0.822
Sr1 0.251 0.072 0.494
Sr2 0.251 0.428 0.994
Sr3 0.500 0.023 0.178
Sr4 0.500 0.477 0.678
Sr5 0.500 0.523 0.322
Sr6 0.500 0.977 0.822
Sr7 0.749 0.572 0.006
Sr8 0.749 0.928 0.506
Br1 0.037 0.662 0.091
Br2 0.037 0.838 0.591
Br3 0.272 0.196 0.715
Br4 0.272 0.304 0.215
Br5 0.281 0.045 0.997
Br6 0.281 0.455 0.497
Br7 0.283 0.666 0.817
Br8 0.283 0.834 0.317
Br9 0.459 0.661 0.101
Br10 0.459 0.839 0.601
Br11 0.541 0.161 0.399
Br12 0.541 0.339 0.899
Br13 0.717 0.166 0.683
Br14 0.717 0.334 0.183
Br15 0.719 0.545 0.503
Br16 0.719 0.955 0.003
Br17 0.728 0.696 0.785
Br18 0.728 0.804 0.285
Br19 0.963 0.162 0.409
Br20 0.963 0.338 0.909
# Volume, Å³/f.u.: 271.9
# Symmetry: P2_1/c (14)
# E, eV for the cell shown: -116.39